(1)
Cs2SnO3 after structural relaxation, computed with meta-GGA r2SCAN.

Calculated values
* calculated density: 5.584 g/cm3
* crystal system: orthorhombic
* calculated formation energy: -1.752 eV per atom
* symmetry: Cmcm (63)
* electronic total energy: -1.267 Ry per atom

Cell and atoms, written as POSCAR:
```
Cs2SnO3
1.0
5.6495 -3.9001 0.0000
5.6495 3.9001 0.0000
0.0000 0.0000 5.8374
Cs Sn O
4 2 6
Direct
0.0161 0.3074 0.2500
0.3074 0.0161 0.7500
0.6926 0.9839 0.2500
0.9839 0.6926 0.7500
0.4169 0.5831 0.2500
0.5831 0.4169 0.7500
0.1667 0.8333 0.2500
0.3820 0.3820 0.0000
0.3820 0.3820 0.5000
0.6180 0.6180 0.0000
0.6180 0.6180 0.5000
0.8333 0.1667 0.7500
```

***

(2)
EuIBr after structural relaxation, computed with meta-GGA r2SCAN.

Calculated values
* calculated density: 6.037 g/cm3
* crystal system: orthorhombic
* calculated formation energy: -2.115 eV per atom
* symmetry: Pnma (62)
* electronic total energy: -2.026 Ry per atom

Cell and atoms, written as POSCAR:
```
EuIBr
1.0
8.4282 0.0000 0.0000
0.0000 4.7935 0.0000
0.0000 0.0000 9.7702
Eu I Br
4 4 4
Direct
0.2263 0.2500 0.1282
0.2737 0.7500 0.6282
0.7263 0.2500 0.3718
0.7737 0.7500 0.8718
0.0265 0.7500 0.3330
0.4735 0.2500 0.8330
0.5265 0.7500 0.1670
0.9735 0.2500 0.6670
0.1448 0.7500 0.9352
0.3552 0.2500 0.4352
0.6448 0.7500 0.5648
0.8552 0.2500 0.0648
```

***

(3)
LaMgGa after structural relaxation, computed with meta-GGA r2SCAN.

Calculated values
* calculated density: 5.054 g/cm3
* crystal system: hexagonal
* calculated formation energy: -0.550 eV per atom
* symmetry: P-62m (189)
* electronic total energy: -1.152 Ry per atom

Cell and atoms, written as POSCAR:
```
LaMgGa
1.0
7.5639 0.0000 0.0000
-3.7820 6.5505 0.0000
0.0000 0.0000 4.6339
La Mg Ga
3 3 3
Direct
0.0000 0.5777 0.0000
0.4223 0.4223 0.0000
0.5777 0.0000 0.0000
0.0000 0.2424 0.5000
0.2424 0.0000 0.5000
0.7576 0.7576 0.5000
0.0000 0.0000 0.0000
0.3333 0.6667 0.5000
0.6667 0.3333 0.5000
```

***

(4)
SmSn6Ru4 after structural relaxation, computed with meta-GGA r2SCAN.

Calculated values
* calculated density: 9.026 g/cm3
* crystal system: tetragonal
* calculated formation energy: -0.341 eV per atom
* symmetry: I-42m (121)
* electronic total energy: -1.895 Ry per atom

Cell and atoms, written as POSCAR:
```
SmSn6Ru4
1.0
-3.4466 3.4466 4.9052
3.4466 -3.4466 4.9052
3.4466 3.4466 -4.9052
Sm Sn Ru
1 6 4
Direct
0.0000 0.0000 0.0000
0.0000 0.5000 0.5000
0.1188 0.4704 0.0000
0.4704 0.1188 0.0000
0.5000 0.0000 0.5000
0.5296 0.5296 0.6483
0.8812 0.8812 0.3517
0.2492 0.2492 0.6548
0.4056 0.7508 0.0000
0.5944 0.5944 0.3452
0.7508 0.4056 0.0000
```

***

(5)
Y6UO12 after structural relaxation, computed with meta-GGA r2SCAN.

Calculated values
* calculated density: 5.984 g/cm3
* crystal system: trigonal
* calculated formation energy: -3.872 eV per atom
* symmetry: R-3 (148)
* electronic total energy: -1.343 Ry per atom

Cell and atoms, written as POSCAR:
```
Y6UO12
1.0
4.9713 2.8702 3.1228
-4.9713 2.8702 3.1228
0.0000 -5.7403 3.1228
Y U O
6 1 12
Direct
0.1093 0.8207 0.6449
0.1793 0.3551 0.8907
0.3551 0.8907 0.1793
0.6449 0.1093 0.8207
0.8207 0.6449 0.1093
0.8907 0.1793 0.3551
0.5000 0.5000 0.5000
0.0725 0.9120 0.3228
0.0880 0.6772 0.9275
0.1915 0.4222 0.5471
0.3228 0.0725 0.9120
0.4222 0.5471 0.1915
0.4529 0.8085 0.5778
0.5471 0.1915 0.4222
0.5778 0.4529 0.8085
0.6772 0.9275 0.0880
0.8085 0.5778 0.4529
0.9120 0.3228 0.0725
0.9275 0.0880 0.6772
```

***

(6)
Dy3Se4O12F after structural relaxation, computed with meta-GGA r2SCAN.

Calculated values
* calculated density: 5.363 g/cm3
* crystal system: hexagonal
* calculated formation energy: -2.231 eV per atom
* symmetry: P6_3mc (186)
* electronic total energy: -1.002 Ry per atom

Cell and atoms, written as POSCAR:
```
Dy3Se4O12F
1.0
10.3525 0.0000 0.0000
-5.1763 8.9655 0.0000
0.0000 0.0000 6.7679
Dy Se O F
6 8 24 2
Direct
0.0761 0.5381 0.0000
0.4619 0.5381 0.0000
0.4619 0.9239 0.0000
0.5381 0.0761 0.5000
0.5381 0.4619 0.5000
0.9239 0.4619 0.5000
0.1548 0.3095 0.7677
0.1548 0.8452 0.7677
0.3095 0.1548 0.2677
0.3333 0.6667 0.4363
0.6667 0.3333 0.9363
0.6905 0.8452 0.7677
0.8452 0.1548 0.2677
0.8452 0.6905 0.2677
0.0814 0.4166 0.6958
0.0814 0.6648 0.6958
0.1626 0.5813 0.3219
0.1830 0.3660 0.0082
0.1830 0.8170 0.0082
0.3352 0.4166 0.6958
0.3352 0.9186 0.6958
0.3660 0.1830 0.5082
0.4166 0.0814 0.1958
0.4166 0.3352 0.1958
0.4187 0.5813 0.3219
0.4187 0.8374 0.3219
0.5813 0.1626 0.8219
0.5813 0.4187 0.8219
0.5834 0.6648 0.6958
0.5834 0.9186 0.6958
0.6340 0.8170 0.0082
0.6648 0.0814 0.1958
0.6648 0.5834 0.1958
0.8170 0.1830 0.5082
0.8170 0.6340 0.5082
0.8374 0.4187 0.8219
0.9186 0.3352 0.1958
0.9186 0.5834 0.1958
0.3333 0.6667 0.9525
0.6667 0.3333 0.4525
```

***

(7)
TbIn5Rh after structural relaxation, computed with meta-GGA r2SCAN.

Calculated values
* calculated density: 8.675 g/cm3
* crystal system: tetragonal
* calculated formation energy: -0.546 eV per atom
* symmetry: P4/mmm (123)
* electronic total energy: -1.807 Ry per atom

Cell and atoms, written as POSCAR:
```
TbIn5Rh
1.0
4.6362 0.0000 0.0000
0.0000 4.6362 0.0000
0.0000 0.0000 7.4446
Tb In Rh
1 5 1
Direct
0.0000 0.0000 0.0000
0.0000 0.5000 0.3014
0.0000 0.5000 0.6986
0.5000 0.0000 0.3014
0.5000 0.0000 0.6986
0.5000 0.5000 0.0000
0.0000 0.0000 0.5000
```

***

(8)
V4O3F9 after structural relaxation, computed with meta-GGA r2SCAN.

Calculated values
* energy above the most stable polymorph in this dataset: 0.021 eV per atom
* calculated density: 3.589 g/cm3
* crystal system: monoclinic
* calculated formation energy: -3.024 eV per atom
* symmetry: C2 (5)
* electronic total energy: -0.693 Ry per atom

Cell and atoms, written as POSCAR:
```
V4O3F9
1.0
4.5986 -2.5680 0.0000
4.5986 2.5680 0.0000
-2.5591 0.0000 8.2807
V O F
4 3 9
Direct
0.1203 0.1203 0.3794
0.3806 0.3509 0.1344
0.6491 0.6194 0.8656
0.8797 0.8797 0.6206
0.3405 0.1718 0.2510
0.8282 0.6595 0.7490
0.9318 0.0682 0.5000
0.3073 0.6649 0.6995
0.3351 0.6927 0.3005
0.4216 0.5784 0.0000
0.4299 0.0499 0.9437
0.4495 0.0691 0.5566
0.8129 0.1770 0.1898
0.8230 0.1871 0.8102
0.9309 0.5505 0.4434
0.9501 0.5701 0.0563
```

***

Repeat the fourth record exactly.
SmSn6Ru4 after structural relaxation, computed with meta-GGA r2SCAN.

Calculated values
* calculated density: 9.026 g/cm3
* crystal system: tetragonal
* calculated formation energy: -0.341 eV per atom
* symmetry: I-42m (121)
* electronic total energy: -1.895 Ry per atom

Cell and atoms, written as POSCAR:
```
SmSn6Ru4
1.0
-3.4466 3.4466 4.9052
3.4466 -3.4466 4.9052
3.4466 3.4466 -4.9052
Sm Sn Ru
1 6 4
Direct
0.0000 0.0000 0.0000
0.0000 0.5000 0.5000
0.1188 0.4704 0.0000
0.4704 0.1188 0.0000
0.5000 0.0000 0.5000
0.5296 0.5296 0.6483
0.8812 0.8812 0.3517
0.2492 0.2492 0.6548
0.4056 0.7508 0.0000
0.5944 0.5944 0.3452
0.7508 0.4056 0.0000
```

***

Among the records above, which one has the highest calculated formation energy? SmSn6Ru4